A plane-wave DFT calculation with PBE was carried out for a geometry-optimized Pr3Y structure.

## Properties
The energy is -5.177 eV per atom. Its space group is P6_3/mmc (194).

Cell: 7.4311 7.4311 5.9783 Å, 90.00 90.00 120.00°
Last column: nearest neighbours and their distance in Å.
Atoms (fractional coordinates):
Pr: 0.1672 0.3344 0.2500  4 Y 3.68-3.72, 8 Pr 3.68-3.73
Pr: 0.1672 0.8328 0.2500  4 Y 3.68-3.72, 8 Pr 3.68-3.73
Pr: 0.3344 0.1672 0.7500  4 Y 3.68-3.72, 8 Pr 3.68-3.73
Pr: 0.6656 0.8328 0.2500  4 Y 3.68-3.72, 8 Pr 3.68-3.73
Pr: 0.8328 0.1672 0.7500  4 Y 3.68-3.72, 8 Pr 3.68-3.73
Pr: 0.8328 0.6656 0.7500  4 Y 3.68-3.72, 8 Pr 3.68-3.73
Y: 0.3333 0.6667 0.7500  12 Pr 3.68-3.72
Y: 0.6667 0.3333 0.2500  12 Pr 3.68-3.72